DFT (PBE+U) results for LiV4OF11 after structural relaxation.

For the energy of formation, the calculation gives -5095.5 kJ/mol of formula units. As for the crystal system: triclinic.

```
LiV4OF11
1.0
5.237 0.000 0.000
2.592 4.898 0.000
2.350 0.918 17.042
Li V O F
2 8 2 22
Direct
0.017 0.156 0.292
0.983 0.844 0.708
0.000 0.000 0.500
0.141 0.114 0.127
0.282 0.232 0.755
0.371 0.379 0.376
0.500 0.500 0.000
0.629 0.621 0.624
0.718 0.768 0.245
0.859 0.886 0.873
0.348 0.969 0.216
0.652 0.031 0.784
0.078 0.108 0.839
0.087 0.678 0.442
0.113 0.707 0.960
0.125 0.539 0.291
0.152 0.154 0.403
0.163 0.595 0.802
0.320 0.924 0.685
0.336 0.348 0.090
0.393 0.797 0.534
0.403 0.416 0.657
0.423 0.816 0.060
0.577 0.184 0.940
0.597 0.584 0.343
0.607 0.203 0.466
0.664 0.652 0.910
0.680 0.076 0.315
0.837 0.405 0.198
0.848 0.846 0.597
0.875 0.461 0.709
0.887 0.293 0.040
0.913 0.322 0.558
0.922 0.892 0.161
```